[1]
! Ni7P6O24 | the Materials Project database | PBE+U | optimized geometry; values from VASP
&SYSTEM
  ibrav = 0, nat = 37, ntyp = 3
/
ATOMIC_SPECIES
Ni 58.69 Ni.upf
P 30.97 P.upf
O 16.00 O.upf
CELL_PARAMETERS angstrom
5.345 -7.036 0.000
5.345 7.036 0.000
-1.617 0.000 6.328
ATOMIC_POSITIONS crystal
Ni 0.000 0.000 0.000
Ni 0.025 0.640 0.187
Ni 0.360 0.975 0.813
Ni 0.382 0.618 0.000
Ni 0.618 0.382 0.000
Ni 0.640 0.025 0.187
Ni 0.975 0.360 0.813
P 0.105 0.711 0.725
P 0.289 0.895 0.275
P 0.303 0.303 0.014
P 0.697 0.697 0.986
P 0.711 0.105 0.725
P 0.895 0.289 0.275
O 0.016 0.603 0.862
O 0.021 0.649 0.495
O 0.106 0.886 0.212
O 0.114 0.894 0.788
O 0.191 0.191 0.117
O 0.214 0.399 0.880
O 0.275 0.711 0.229
O 0.289 0.725 0.771
O 0.351 0.979 0.505
O 0.397 0.984 0.138
O 0.399 0.214 0.880
O 0.442 0.442 0.165
O 0.558 0.558 0.835
O 0.601 0.786 0.120
O 0.603 0.016 0.862
O 0.649 0.021 0.495
O 0.711 0.275 0.229
O 0.725 0.289 0.771
O 0.786 0.601 0.120
O 0.809 0.809 0.883
O 0.886 0.106 0.212
O 0.894 0.114 0.788
O 0.979 0.351 0.505
O 0.984 0.397 0.138
! SG: C2/m (12)
! Offset from the most stable computed form, meV/atom: 3
! MP2020-corrected energy, eV per atom: -7.188
! Final energy, eV/atom: -6.26


[2]
! NiP2Pb2O8 | the Materials Project database | PBE+U | optimized geometry; values from VASP
&SYSTEM
  ibrav = 0, nat = 52, ntyp = 4
/
ATOMIC_SPECIES
Ni 58.69 Ni.upf
P 30.97 P.upf
Pb 207.20 Pb.upf
O 16.00 O.upf
CELL_PARAMETERS angstrom
5.361 0.000 0.000
0.000 15.685 0.000
-0.005 0.000 8.561
ATOMIC_POSITIONS crystal
Ni 0.216 0.135 0.479
Ni 0.216 0.365 0.979
Ni 0.784 0.635 0.021
Ni 0.784 0.865 0.521
P 0.243 0.574 0.923
P 0.243 0.926 0.423
P 0.259 0.165 0.094
P 0.259 0.335 0.594
P 0.741 0.665 0.406
P 0.741 0.835 0.906
P 0.757 0.074 0.577
P 0.757 0.426 0.077
Pb 0.249 0.508 0.323
Pb 0.249 0.992 0.823
Pb 0.264 0.736 0.682
Pb 0.264 0.764 0.182
Pb 0.736 0.236 0.818
Pb 0.736 0.264 0.318
Pb 0.751 0.008 0.177
Pb 0.751 0.492 0.677
O 0.013 0.598 0.816
O 0.013 0.902 0.316
O 0.101 0.241 0.032
O 0.101 0.259 0.532
O 0.103 0.081 0.073
O 0.103 0.419 0.573
O 0.149 0.596 0.093
O 0.149 0.904 0.593
O 0.320 0.018 0.396
O 0.320 0.482 0.896
O 0.331 0.182 0.267
O 0.331 0.318 0.767
O 0.460 0.638 0.883
O 0.460 0.862 0.383
O 0.493 0.652 0.499
O 0.493 0.848 0.999
O 0.507 0.152 0.001
O 0.507 0.348 0.501
O 0.540 0.138 0.617
O 0.540 0.362 0.117
O 0.669 0.682 0.233
O 0.669 0.818 0.733
O 0.680 0.518 0.104
O 0.680 0.982 0.604
O 0.851 0.096 0.407
O 0.851 0.404 0.907
O 0.897 0.581 0.427
O 0.897 0.919 0.927
O 0.899 0.741 0.468
O 0.899 0.759 0.968
O 0.987 0.098 0.684
O 0.987 0.402 0.184
! SG: P2_1/c (14)
! MP2020-corrected energy, eV per atom: -7.157
! Final energy, eV/atom: -6.54